# 1
Material: CeP2O7
Method: DFT, PBE-GGA
State: relaxed

```
CeP2O7
1.0
-1.743 -7.706 -4.111
6.555 1.616 -5.809
5.772 -4.163 5.356
P O Ce
8 28 4
Cartesian
7.994 -0.996 -3.507 P
4.204 -4.072 -1.813 P
5.424 -3.624 -7.139 P
1.633 -6.700 -5.444 P
8.951 -3.553 0.880 P
2.590 -9.257 -1.057 P
6.381 -6.181 -2.751 P
5.160 -6.629 2.575 P
3.397 -9.227 -2.355 O
5.072 -4.632 -8.233 O
7.187 -1.026 -2.209 O
7.761 -2.717 0.407 O
3.519 -3.556 -3.078 O
2.886 -2.081 2.678 O
7.415 -0.010 -4.522 O
3.278 0.808 -2.904 O
5.512 -5.621 3.669 O
8.180 -2.392 -4.102 O
7.066 -6.697 -1.486 O
3.169 -10.243 -0.042 O
5.629 -7.288 -3.491 O
1.847 -5.206 -5.203 O
2.404 -7.861 -0.462 O
4.265 -3.401 -6.167 O
0.312 -7.195 -4.856 O
10.272 -3.058 0.292 O
7.350 -5.433 -3.666 O
6.720 -3.990 -6.414 O
5.292 -5.126 -2.282 O
6.319 -6.852 1.603 O
8.737 -5.047 0.639 O
4.955 -2.965 -1.073 O
3.234 -4.820 -0.898 O
-0.872 -3.853 -2.056 O
2.823 -7.536 -4.971 O
3.864 -6.263 1.850 O
0.000 0.000 0.000 Ce
2.406 -3.045 -4.960 Ce
6.164 -1.273 -0.226 Ce
2.014 -5.934 0.622 Ce
```

Calculated values
Formation enthalpy at 0 K   -3.11 eV per atom
Symmetry   Pa-3, No. 205

***

# 2
Material: VFe2Se4
Method: DFT, PBE-GGA
State: relaxed

```
VFe2Se4
1.0
1.738 6.460 0.000
-1.738 6.460 0.000
0.000 3.034 5.544
Fe Se V
2 4 1
Cartesian
0.000 5.343 3.860 Fe
0.000 10.612 1.685 Fe
0.000 3.091 3.014 Se
0.000 8.314 0.108 Se
0.000 7.641 5.437 Se
0.000 12.864 2.530 Se
0.000 0.000 0.000 V
```

Calculated values
Energy above the lowest structure with this stoichiometry   0.026 eV/atom
Formation enthalpy at 0 K   -0.64 eV per atom
Symmetry   C2/m, No. 12

***

# 3
Material: La5Er5Ge6
Method: DFT, PBE-GGA
State: relaxed

```
La5Er5Ge6
1.0
-8.350 -1.188 2.373
6.291 -4.736 3.842
0.653 4.600 4.602
Er Ge La
5 6 5
Cartesian
1.888 -0.091 6.798 Er
1.561 -2.397 4.492 Er
-3.290 -1.221 4.005 Er
-2.963 1.085 6.311 Er
-0.526 -1.512 1.586 Er
-3.232 -0.501 0.960 Ge
-0.488 -0.043 4.759 Ge
-1.233 -3.548 3.722 Ge
-4.729 1.574 3.744 Ge
2.409 -1.868 1.526 Ge
4.131 -0.573 4.633 Ge
-3.629 -4.738 5.251 La
1.881 1.118 3.262 La
-1.745 1.996 2.898 La
0.027 -5.624 5.618 La
-1.213 -2.128 6.946 La
```

Calculated values
Formation enthalpy at 0 K   -0.72 eV per atom
Symmetry   Amm2, No. 38

***

# 4
Material: Hf2VSi2
Method: DFT, PBE-GGA
State: relaxed

```
Hf2VSi2
1.0
2.748 0.000 0.000
0.000 2.748 0.000
0.000 0.000 13.345
Si Hf V
2 2 1
Cartesian
1.374 1.374 10.892 Si
1.374 1.374 2.453 Si
1.374 1.374 8.286 Hf
1.374 1.374 5.058 Hf
1.374 1.374 0.000 V
```

Calculated values
Formation enthalpy at 0 K   0.81 eV per atom
Symmetry   P4/mmm, No. 123

***

# 5
Material: ZnPb3
Method: DFT, PBE-GGA
State: relaxed

```
ZnPb3
1.0
3.046 3.925 2.271
-0.801 1.403 5.219
3.734 -1.281 3.777
Pb Zn
3 1
Cartesian
4.484 3.036 8.450 Pb
1.495 1.012 2.817 Pb
2.990 2.024 5.633 Pb
0.000 0.000 0.000 Zn
```

Calculated values
Formation enthalpy at 0 K   0.11 eV per atom
Symmetry   Fm-3m, No. 225

***

# 6
Material: Mg5Si9
Method: DFT, PBE-GGA
State: relaxed

```
Mg5Si9
1.0
1.911 5.269 -1.434
3.776 -2.739 5.494
6.848 -4.536 -10.232
Mg Si
10 18
Cartesian
10.878 -0.842 -7.247 Mg
6.270 -0.389 -5.309 Mg
4.775 -3.296 0.870 Mg
1.587 1.253 -0.506 Mg
7.224 -4.115 -1.226 Mg
2.507 -1.156 1.155 Mg
7.795 -0.763 0.417 Mg
5.070 -2.832 -4.399 Mg
9.999 -4.104 -3.781 Mg
6.262 -0.993 -2.329 Mg
6.489 1.311 2.457 Si
6.411 1.639 -3.314 Si
5.020 -0.405 -0.040 Si
7.857 -2.427 -4.157 Si
7.224 -4.791 -4.029 Si
3.321 -1.443 -1.549 Si
5.418 -0.974 2.342 Si
8.373 0.146 -11.043 Si
4.091 1.492 -2.099 Si
3.652 -0.517 -3.816 Si
7.839 0.304 -7.506 Si
8.973 -1.169 -9.053 Si
8.505 -3.289 -7.965 Si
6.463 -2.748 -6.821 Si
10.262 -1.231 -4.183 Si
8.996 -1.744 -2.040 Si
4.287 1.653 0.903 Si
10.571 -3.941 -6.874 Si
```

Calculated values
Energy above the lowest structure with this stoichiometry   0.079 eV/atom
Formation enthalpy at 0 K   0.23 eV per atom
Symmetry   P1, No. 1

***

# 7
Material: Cs3HSe2O8
Method: DFT, PBE-GGA
State: relaxed

```
Cs3HSe2O8
1.0
3.256 8.227 0.000
-3.256 8.227 0.000
0.000 2.384 10.962
O Cs Se H
16 6 4 2
Cartesian
0.098 14.890 4.405 O
2.221 9.716 6.066 O
1.750 11.680 4.237 O
-0.424 10.538 1.162 O
-2.128 9.152 4.894 O
2.128 10.343 10.375 O
-1.774 7.188 6.740 O
-0.098 16.082 9.886 O
0.120 2.813 1.080 O
-2.221 8.524 0.586 O
-0.120 4.005 6.561 O
-1.750 12.872 9.718 O
0.424 11.730 6.643 O
1.774 5.997 1.259 O
0.422 8.337 9.792 O
-0.422 7.145 4.311 O
-1.586 10.060 8.229 Cs
1.449 6.633 7.154 Cs
-1.449 12.178 3.812 Cs
-1.449 5.441 1.673 Cs
1.449 13.370 9.293 Cs
1.586 8.868 2.748 Cs
1.849 8.609 10.576 Se
-1.864 10.189 0.400 Se
1.864 11.381 5.881 Se
-1.849 7.417 5.095 Se
3.048 10.581 10.883 H
-3.048 9.389 5.402 H
```

Calculated values
Energy above the lowest structure with this stoichiometry   0.000 eV/atom
Formation enthalpy at 0 K   -1.67 eV per atom
Symmetry   Cc, No. 9

***

# 8
Material: RbNa2Al3Ge3O13
Method: DFT, PBE-GGA
State: relaxed

```
RbNa2Al3Ge3O13
1.0
0.000 0.000 -5.326
0.000 -8.358 0.000
-15.850 0.000 0.000
O Ge Al Na Rb
26 6 6 4 2
Cartesian
-1.752 -3.778 -1.775 O
-15.846 -7.761 -4.591 O
-9.694 -3.729 -1.774 O
-1.408 -1.848 -4.978 O
-1.769 -4.629 -4.437 O
-6.148 -3.718 -1.784 O
-7.921 -0.597 -1.928 O
-6.180 -4.571 -4.429 O
-9.677 -4.580 -4.438 O
-0.008 -0.640 -1.918 O
-1.399 -6.561 -2.333 O
-3.961 -5.484 -2.649 O
-14.072 -4.639 -4.447 O
-6.511 -1.800 -4.981 O
-11.887 -5.493 -2.640 O
-14.458 -1.847 -4.991 O
-9.333 -6.510 -2.315 O
-4.005 -7.806 -0.592 O
-11.886 -2.874 -5.312 O
-7.933 -7.717 -4.581 O
-14.435 -6.558 -2.318 O
-11.930 -0.552 -3.255 O
-6.533 -6.511 -2.328 O
-9.324 -1.797 -4.996 O
-3.962 -2.865 -5.303 O
-14.105 -3.787 -1.766 O
-13.574 -5.105 -2.821 Ge
-0.009 -0.909 -0.178 Ge
-10.196 -3.239 -0.156 Ge
-2.272 -5.119 -2.819 Ge
-7.934 -7.449 -2.841 Ge
-5.650 -3.253 -0.158 Ge
-15.840 -7.491 -2.846 Al
-5.642 -5.076 -2.822 Al
-7.915 -0.867 -0.183 Al
-13.567 -3.282 -0.159 Al
-2.282 -3.297 -0.162 Al
-10.207 -5.061 -2.825 Al
-7.915 -5.619 -0.365 Na
-0.009 -5.655 -0.364 Na
-15.840 -2.739 -3.028 Na
-7.934 -2.703 -3.027 Na
-11.846 -7.821 -0.582 Rb
-3.921 -0.536 -3.245 Rb
```

Calculated values
Formation enthalpy at 0 K   -2.44 eV per atom
Symmetry   Pc, No. 7

***

The calculation returns the following uncorrected energy values, one per record and in order: -7.769; -6.088; -5.426; -7.190; -2.989; -3.875; -5.035; -6.260 eV/atom.